Entry 1:
VASP calculation (r2SCAN) on a relaxed structure of Nd4Mg3Co2.

Values from the calculation:
Total magnetic moment   1.1 μB per cell
DFT total energy   -17.466 eV/atom
Energy of formation   -0.06 eV/atom

a b c (Å): 3.7201 7.8246 8.5252
angles (deg): 109.34 90.00 90.00
Positions (direct):
Nd: 0.5000 0.3931 0.1828
Nd: 0.5000 0.0931 0.7202
Nd: 0.5000 0.9069 0.2798
Nd: 0.5000 0.6069 0.8172
Mg: 0.0000 0.2987 0.5022
Mg: 0.0000 0.7013 0.4978
Mg: 0.0000 0.0000 0.0000
Co: 0.0000 0.6460 0.0992
Co: 0.0000 0.3540 0.9008

=====

Entry 2:
VASP calculation (r2SCAN) on a relaxed structure of DyLuIn2.

Values from the calculation:
Total magnetic moment   0.0 μB per cell
DFT total energy   -29.352 eV/atom
Energy of formation   -0.55 eV/atom

a b c (Å): 5.2405 5.2405 5.2405
angles (deg): 60.00 60.00 60.00
Positions (direct):
Dy: 0.5000 0.5000 0.5000
Lu: 0.0000 0.0000 0.0000
In: 0.2500 0.2500 0.2500
In: 0.7500 0.7500 0.7500

=====

Entry 3:
VASP calculation (r2SCAN) on a relaxed structure of NdCo2P2.

Values from the calculation:
Total magnetic moment   1.7 μB per cell
DFT total energy   -15.773 eV/atom
Energy of formation   -1.00 eV/atom

a b c (Å): 3.8874 3.8874 5.6021
angles (deg): 110.30 110.30 90.00
Positions (direct):
Nd: 0.0000 0.0000 0.0000
Co: 0.2500 0.7500 0.5000
Co: 0.7500 0.2500 0.5000
P: 0.6380 0.6380 0.2760
P: 0.3620 0.3620 0.7240

=====

Entry 4:
VASP calculation (r2SCAN) on a relaxed structure of EuSn2Ir.

Values from the calculation:
Total magnetic moment   13.9 μB per cell
DFT total energy   -35.761 eV/atom
Energy of formation   -0.67 eV/atom

a b c (Å): 4.3838 6.0399 7.5618
angles (deg): 90.00 90.00 111.28
Positions (direct):
Eu: 0.9353 0.8705 0.2500
Eu: 0.0648 0.1295 0.7500
Sn: 0.3506 0.7011 0.5481
Sn: 0.6494 0.2988 0.4518
Sn: 0.3506 0.7011 0.9519
Sn: 0.6494 0.2988 0.0482
Ir: 0.7886 0.5771 0.7500
Ir: 0.2114 0.4228 0.2500